First-principles (r2SCAN) data for PrFe4Sb12 after structural relaxation, as listed in the Materials Project database.

Cell: 7.916 7.916 7.915 Å, 109.47 109.47 109.47°
Fractional positions:
1 Sb 0.503 0.838 0.665
2 Sb 0.665 0.827 0.162
3 Sb 0.838 0.335 0.173
4 Sb 0.827 0.162 0.665
5 Sb 0.335 0.497 0.162
6 Sb 0.665 0.503 0.838
7 Sb 0.335 0.173 0.838
8 Sb 0.162 0.335 0.497
9 Sb 0.173 0.838 0.335
10 Sb 0.497 0.162 0.335
11 Sb 0.838 0.665 0.503
12 Sb 0.162 0.665 0.827
13 Fe 0.500 0.000 0.000
14 Fe 0.000 0.000 0.500
15 Fe 0.000 0.500 0.000
16 Fe 0.500 0.500 0.500
17 Pr 0.000 0.000 0.000

Output
- VASP energy: -23.3702 eV per atom
- Formation energy from the elements: -10.0 kJ per mole of atoms